Entry 1:
Compound: HoAsSe
Source: Materials Project
Functional: PBE-GGA
Structure: relaxed

Cell: 3.899 3.918 17.523 Å, 90.00 90.00 90.00°
Sites, in units of the cell vectors:
Ho 0.750 0.241 0.861
Ho 0.750 0.259 0.361
Ho 0.250 0.759 0.139
Ho 0.250 0.741 0.639
As 0.250 0.219 0.501
As 0.250 0.281 0.001
As 0.750 0.781 0.499
As 0.750 0.719 0.999
Se 0.750 0.242 0.688
Se 0.750 0.258 0.188
Se 0.250 0.758 0.312
Se 0.250 0.742 0.812

Computed properties:
- E: -68.01 eV/cell
- Total moment: 0.00 μB per formula unit
- Energy with MP2020 corrections: -69.90 eV per cell


Entry 2:
Compound: YBr3O8
Source: Materials Project
Functional: PBE-GGA
Structure: relaxed

Cell: 12.724 7.288 10.821 Å, 56.81 90.00 90.00°
Sites, in units of the cell vectors:
Y 0.358 0.145 0.224
Y 0.142 0.145 0.724
Y 0.642 0.855 0.776
Y 0.858 0.855 0.276
Br 0.364 0.432 0.442
Br 0.136 0.432 0.942
Br 0.636 0.568 0.558
Br 0.864 0.568 0.058
Br 0.133 0.962 0.468
Br 0.367 0.962 0.968
Br 0.867 0.038 0.532
Br 0.633 0.038 0.032
Br 0.378 0.810 0.692
Br 0.122 0.810 0.192
Br 0.622 0.190 0.308
Br 0.878 0.190 0.808
O 0.223 0.892 0.256
O 0.277 0.892 0.756
O 0.777 0.108 0.744
O 0.723 0.108 0.244
O 0.348 0.445 0.280
O 0.152 0.445 0.780
O 0.652 0.555 0.720
O 0.848 0.555 0.220
O 0.269 0.012 0.448
O 0.231 0.012 0.948
O 0.731 0.988 0.552
O 0.769 0.988 0.052
O 0.248 0.408 0.038
O 0.252 0.408 0.538
O 0.752 0.592 0.962
O 0.748 0.592 0.462
O 0.471 0.895 0.433
O 0.029 0.895 0.933
O 0.529 0.105 0.567
O 0.971 0.105 0.067
O 0.416 0.123 0.029
O 0.084 0.123 0.529
O 0.584 0.877 0.971
O 0.916 0.877 0.471
O 0.455 0.820 0.345
O 0.045 0.820 0.845
O 0.545 0.180 0.655
O 0.955 0.180 0.155
O 0.530 0.289 0.167
O 0.970 0.289 0.667
O 0.470 0.711 0.833
O 0.030 0.711 0.333

Computed properties:
- E: -227.09 eV/cell
- Total moment: 0.00 μB per formula unit
- Energy with MP2020 corrections: -232.24 eV per cell


Entry 3:
Compound: SmRe2
Source: Materials Project
Functional: PBE-GGA
Structure: relaxed

Cell: 5.490 5.490 8.931 Å, 90.00 90.00 120.00°
Sites, in units of the cell vectors:
Sm 0.333 0.667 0.438
Sm 0.667 0.333 0.562
Sm 0.667 0.333 0.938
Sm 0.333 0.667 0.062
Re 0.000 0.000 0.500
Re 0.000 0.000 0.000
Re 0.829 0.171 0.250
Re 0.829 0.659 0.250
Re 0.341 0.171 0.250
Re 0.171 0.829 0.750
Re 0.171 0.341 0.750
Re 0.659 0.829 0.750

Computed properties:
- E: -119.38 eV/cell


Entry 4:
Compound: Na3As
Source: Materials Project
Functional: PBE-GGA
Structure: relaxed

Cell: 8.842 8.842 9.058 Å, 90.00 90.00 120.00°
Sites, in units of the cell vectors:
Na 0.000 0.000 0.792
Na 0.000 0.000 0.292
Na 0.667 0.333 0.228
Na 0.333 0.667 0.728
Na 0.667 0.333 0.728
Na 0.333 0.667 0.228
Na 0.301 0.000 0.581
Na 0.301 0.301 0.081
Na 0.000 0.699 0.081
Na 0.000 0.301 0.581
Na 0.699 0.699 0.581
Na 0.699 0.000 0.081
Na 0.361 0.000 0.920
Na 0.361 0.361 0.420
Na 0.000 0.639 0.420
Na 0.000 0.361 0.920
Na 0.639 0.639 0.920
Na 0.639 0.000 0.420
As 0.669 0.000 0.751
As 0.669 0.669 0.251
As 0.000 0.331 0.251
As 0.000 0.669 0.751
As 0.331 0.331 0.751
As 0.331 0.000 0.251

Computed properties:
- Piezoelectric modulus e_max: 0.0 C/m²
- E: -61.70 eV/cell